Density functional theory data (PBE-GGA) for Ba3P6N8O6 after structural relaxation.

Summary:
Raw total energy, eV for the cell shown: -171.018

Unit cell a=7.4747 b=7.4747 c=6.4228 alpha=90.00 beta=90.00 gamma=120.00
Fractional positions:
Ba: 0.0000 0.0000 0.0000
Ba: 0.3333 0.6667 0.1159
Ba: 0.6667 0.3333 0.8841
P: 0.1763 0.4004 0.6019
P: 0.2241 0.8237 0.6019
P: 0.4004 0.2241 0.3981
P: 0.5996 0.7759 0.6019
P: 0.7759 0.1763 0.3981
P: 0.8237 0.5996 0.3981
N: 0.0223 0.3289 0.4033
N: 0.3066 0.9777 0.4033
N: 0.3289 0.3066 0.5967
N: 0.3333 0.6667 0.5709
N: 0.6667 0.3333 0.4291
N: 0.6711 0.6934 0.4033
N: 0.6934 0.0223 0.5967
N: 0.9777 0.6711 0.5967
O: 0.0778 0.3676 0.8197
O: 0.2899 0.9222 0.8197
O: 0.3676 0.2899 0.1803
O: 0.6324 0.7101 0.8197
O: 0.7101 0.0778 0.1803
O: 0.9222 0.6324 0.1803


Density functional theory data (PBE-GGA) for BaS2N2O6 after structural relaxation.

Summary:
Raw total energy, eV for the cell shown: -263.374

Unit cell a=10.9640 b=13.7178 c=4.9353 alpha=90.00 beta=90.00 gamma=90.00
Fractional positions:
Ba: 0.1751 0.1885 0.0000
Ba: 0.3249 0.6885 0.5000
Ba: 0.6751 0.3115 0.0000
Ba: 0.8249 0.8115 0.5000
S: 0.0557 0.6858 0.9373
S: 0.1625 0.9453 0.5504
S: 0.3375 0.4453 0.0504
S: 0.4443 0.1858 0.4373
S: 0.5557 0.8142 0.9373
S: 0.6625 0.5547 0.5504
S: 0.8375 0.0547 0.0504
S: 0.9443 0.3142 0.4373
N: 0.0370 0.5780 0.0811
N: 0.1616 0.9651 0.8781
N: 0.3384 0.4651 0.3781
N: 0.4630 0.0780 0.5811
N: 0.5370 0.9220 0.0811
N: 0.6616 0.5349 0.8781
N: 0.8384 0.0349 0.3781
N: 0.9630 0.4220 0.5811
O: 0.0471 0.8977 0.4814
O: 0.0554 0.2584 0.5035
O: 0.0687 0.6699 0.6438
O: 0.1681 0.7262 0.0563
O: 0.1731 0.0462 0.4486
O: 0.2304 0.3845 0.9984
O: 0.2696 0.8845 0.4984
O: 0.3269 0.5462 0.9486
O: 0.3319 0.2262 0.5563
O: 0.4313 0.1699 0.1438
O: 0.4446 0.7584 0.0035
O: 0.4529 0.3977 0.9814
O: 0.5471 0.6023 0.4814
O: 0.5554 0.2416 0.5035
O: 0.5687 0.8301 0.6438
O: 0.6681 0.7738 0.0563
O: 0.6731 0.4538 0.4486
O: 0.7304 0.1155 0.9984
O: 0.7696 0.6155 0.4984
O: 0.8269 0.9538 0.9486
O: 0.8319 0.2738 0.5563
O: 0.9313 0.3301 0.1438
O: 0.9446 0.7416 0.0035
O: 0.9529 0.1023 0.9814


The calculation returns the following density values, one per record and in order: 4306, 2912 kg/m³.
The calculation returns the following ΔE_f values, one per record and in order: -1.762, -1.219 eV per atom.